--- one ---
Below is crystalline Mn8O13F3 at its relaxed geometry, with properties calculated at the GGA+U level.

a = 4.4956 Å, b = 4.9714 Å, c = 11.0541 Å
α = 89.55°, β = 87.76°, γ = 89.42°
Space group P1 (No. 1)
Asymmetric unit:
Mn 0.0000 0.0000 0.0000 x1
Mn 0.0025 0.4787 0.1575 x1
Mn 0.0082 0.9814 0.5074 x1
Mn 0.4817 0.9791 0.2414 x1
Mn 0.4841 0.4975 0.3988 x1
Mn 0.4879 0.4807 0.9005 x1
Mn 0.5010 0.9697 0.7517 x1
Mn 0.9722 0.4860 0.6394 x1
O 0.2167 0.3172 0.0182 x1
O 0.2189 0.8049 0.6298 x1
O 0.2188 0.8119 0.1284 x1
O 0.2235 0.3140 0.5179 x1
O 0.2541 0.8135 0.8795 x1
O 0.2596 0.8207 0.3813 x1
O 0.2666 0.3129 0.2691 x1
O 0.7157 0.1506 0.8788 x1
O 0.7207 0.6471 0.7662 x1
O 0.7231 0.6579 0.2687 x1
O 0.7527 0.1541 0.6284 x1
O 0.7608 0.1620 0.1304 x1
O 0.7643 0.6627 0.5178 x1
F 0.2386 0.3019 0.7578 x1
F 0.7361 0.1560 0.3854 x1
F 0.7639 0.6680 0.0214 x1

---

--- two ---
Below is crystalline Mn8O13F3 at its relaxed geometry, with properties calculated at the GGA+U level.

a = 4.5267 Å, b = 5.9736 Å, c = 9.3499 Å
α = 90.00°, β = 94.12°, γ = 90.00°
Space group Pm (No. 6)
Asymmetric unit:
Mn 0.0000 0.0000 0.0000 x1
Mn 0.9998 0.5000 0.4998 x1
Mn 0.0332 0.0000 0.4858 x1
Mn 0.4641 0.2507 0.7635 x2
Mn 0.5304 0.2427 0.2388 x2
Mn 0.9932 0.5000 0.0040 x1
O 0.2197 0.2510 0.5890 x2
O 0.2240 0.2504 0.0825 x2
O 0.2625 0.5000 0.8391 x1
O 0.2663 0.0000 0.8426 x1
O 0.3279 0.0000 0.3226 x1
O 0.7312 0.0000 0.1603 x1
O 0.7349 0.5000 0.1605 x1
O 0.7795 0.2514 0.9147 x2
O 0.7973 0.2481 0.4068 x2
F 0.3181 0.5000 0.3272 x1
F 0.6863 0.0000 0.6750 x1
F 0.6950 0.5000 0.6710 x1

---

According to the calculations, the structures order from most to least stable as two, one.

---

--- one ---
Below is crystalline Mn6O7F5 at its relaxed geometry, with properties calculated at the GGA+U level.

a = 4.6739 Å, b = 5.6904 Å, c = 15.1951 Å
α = 89.73°, β = 89.87°, γ = 85.61°
Space group P1 (No. 1)
Asymmetric unit:
Mn 0.0000 0.0000 0.0000 x1
Mn 0.0009 0.0008 0.3331 x1
Mn 0.4351 0.4866 0.3219 x1
Mn 0.4425 0.4888 0.6548 x1
Mn 0.4471 0.5004 0.9928 x1
Mn 0.4484 0.1739 0.1573 x1
Mn 0.4503 0.1735 0.8313 x1
Mn 0.4817 0.1931 0.4932 x1
Mn 0.9355 0.9906 0.6650 x1
Mn 0.9813 0.7114 0.1615 x1
Mn 0.9862 0.6936 0.4880 x1
Mn 0.9904 0.7024 0.8259 x1
O 0.1833 0.9459 0.2208 x1
O 0.1840 0.7285 0.7141 x1
O 0.1961 0.9507 0.8899 x1
O 0.1987 0.7341 0.0551 x1
O 0.2088 0.7269 0.3822 x1
O 0.2316 0.4542 0.2151 x1
O 0.2395 0.4576 0.5446 x1
O 0.2436 0.4553 0.8830 x1
O 0.2574 0.2313 0.0479 x1
O 0.2623 0.2336 0.3819 x1
O 0.6856 0.2275 0.6044 x1
O 0.7286 0.9464 0.7739 x1
O 0.7507 0.9641 0.1030 x1
O 0.7637 0.9652 0.4362 x1
F 0.1940 0.9619 0.5596 x1
F 0.2118 0.2289 0.7194 x1
F 0.6834 0.4505 0.7665 x1
F 0.7022 0.2175 0.2663 x1
F 0.7033 0.4687 0.4211 x1
F 0.7128 0.4800 0.1014 x1
F 0.7205 0.7127 0.2665 x1
F 0.7266 0.2291 0.9406 x1
F 0.7326 0.7208 0.5926 x1
F 0.7385 0.7196 0.9356 x1

---

--- two ---
Below is crystalline Mn6O7F5 at its relaxed geometry, with properties calculated at the GGA+U level.

a = 4.6223 Å, b = 5.5913 Å, c = 7.7775 Å
α = 87.21°, β = 89.77°, γ = 89.04°
Space group P1 (No. 1)
Asymmetric unit:
Mn 0.0000 0.0000 0.0000 x1
Mn 0.0099 0.6827 0.3616 x1
Mn 0.0251 0.3328 0.6919 x1
Mn 0.5198 0.8319 0.6810 x1
Mn 0.5392 0.1505 0.3377 x1
Mn 0.5715 0.5058 0.0273 x1
O 0.2081 0.0380 0.7822 x1
O 0.3420 0.8644 0.4473 x1
O 0.7198 0.7997 0.9084 x1
O 0.7254 0.4574 0.2528 x1
O 0.8237 0.2940 0.9190 x1
O 0.8355 0.9623 0.2305 x1
O 0.8422 0.6204 0.5913 x1
F 0.2308 0.7007 0.1118 x1
F 0.2389 0.3573 0.4525 x1
F 0.3127 0.2000 0.1051 x1
F 0.3362 0.5208 0.8016 x1
F 0.7346 0.1367 0.5785 x1

---

According to the calculations, the structures order from most to least stable as one, two.

---

--- one ---
Below is crystalline Mn6O7F5 at its relaxed geometry, with properties calculated at the GGA+U level.

a = 4.5686 Å, b = 5.6411 Å, c = 15.3462 Å
α = 89.96°, β = 89.56°, γ = 89.20°
Space group P1 (No. 1)
Asymmetric unit:
Mn 0.0000 0.0000 0.0000 x1
Mn 0.0005 0.7126 0.1603 x1
Mn 0.0034 0.9850 0.6647 x1
Mn 0.0058 0.9967 0.3337 x1
Mn 0.0115 0.6935 0.8309 x1
Mn 0.0196 0.7239 0.5005 x1
Mn 0.4946 0.4994 0.3392 x1
Mn 0.5010 0.1955 0.8455 x1
Mn 0.5166 0.4988 0.0145 x1
Mn 0.5210 0.1828 0.1769 x1
Mn 0.5330 0.5094 0.6753 x1
Mn 0.5352 0.1717 0.5131 x1
O 0.2169 0.9653 0.8901 x1
O 0.2243 0.9570 0.2249 x1
O 0.2250 0.7306 0.0581 x1
O 0.2266 0.7321 0.7235 x1
O 0.2306 0.9638 0.5613 x1
O 0.2369 0.7357 0.3915 x1
O 0.7118 0.2317 0.2861 x1
O 0.7180 0.4616 0.7874 x1
O 0.7215 0.2355 0.9541 x1
O 0.7352 0.4612 0.1200 x1
O 0.7435 0.2350 0.6204 x1
O 0.7778 0.9504 0.1080 x1
O 0.7897 0.7503 0.6060 x1
O 0.7909 0.9563 0.4427 x1
F 0.2396 0.4716 0.2262 x1
F 0.2516 0.2208 0.7298 x1
F 0.2567 0.4651 0.9097 x1
F 0.2740 0.2216 0.0730 x1
F 0.2772 0.2434 0.4036 x1
F 0.2836 0.4783 0.5601 x1
F 0.7519 0.9645 0.7695 x1
F 0.7539 0.7234 0.2710 x1
F 0.7555 0.7304 0.9355 x1
F 0.7569 0.4681 0.4520 x1

---

--- two ---
Below is crystalline Mn6O7F5 at its relaxed geometry, with properties calculated at the GGA+U level.

a = 9.1114 Å, b = 6.2692 Å, c = 7.0645 Å
α = 90.00°, β = 90.00°, γ = 90.00°
Space group Amm2 (No. 38)
Asymmetric unit:
Mn 0.0000 0.0000 0.0000 x2
Mn 0.1585 0.0000 0.5300 x4
Mn 0.3323 0.0000 0.0219 x4
Mn 0.5000 0.0000 0.5191 x2
O 0.0000 0.0000 0.7109 x2
O 0.1647 0.1951 0.0146 x8
O 0.5000 0.1972 0.0236 x4
F 0.0000 0.0000 0.3106 x2
F 0.3246 0.0000 0.3383 x4
F 0.3346 0.0000 0.7136 x4

---

--- three ---
Below is crystalline Mn6O7F5 at its relaxed geometry, with properties calculated at the GGA+U level.

a = 6.8459 Å, b = 6.4049 Å, c = 9.2276 Å
α = 90.00°, β = 90.43°, γ = 90.00°
Space group C2 (No. 5)
Asymmetric unit:
Mn 0.0000 0.0000 0.0000 x2
Mn 0.0000 0.4704 0.5000 x2
Mn 0.0080 0.9716 0.6751 x4
Mn 0.0239 0.4714 0.1742 x4
O 0.0000 0.2970 0.0000 x2
O 0.0129 0.2757 0.3339 x4
O 0.0138 0.6650 0.3328 x4
O 0.1831 0.9784 0.8378 x4
F 0.0000 0.6831 0.0000 x2
F 0.1867 0.9713 0.4884 x4
F 0.2195 0.9788 0.1636 x4

---

--- four ---
Below is crystalline Mn6O7F5 at its relaxed geometry, with properties calculated at the GGA+U level.

a = 4.5593 Å, b = 5.6380 Å, c = 15.3312 Å
α = 89.79°, β = 89.74°, γ = 89.86°
Space group P1 (No. 1)
Asymmetric unit:
Mn 0.0000 0.0000 0.0000 x1
Mn 0.0000 0.0070 0.3334 x1
Mn 0.0008 0.3084 0.8337 x1
Mn 0.0155 0.3224 0.5028 x1
Mn 0.0281 0.3157 0.1675 x1
Mn 0.0530 0.0078 0.6694 x1
Mn 0.4885 0.5123 0.6824 x1
Mn 0.4917 0.7905 0.5116 x1
Mn 0.4936 0.5020 0.3438 x1
Mn 0.4997 0.8043 0.8441 x1
Mn 0.5013 0.7933 0.1847 x1
Mn 0.5085 0.5069 0.0154 x1
O 0.2122 0.0419 0.8907 x1
O 0.2122 0.2642 0.3924 x1
O 0.2186 0.2722 0.0581 x1
O 0.2336 0.0442 0.2262 x1
O 0.2350 0.0453 0.5607 x1
O 0.2407 0.2716 0.7275 x1
O 0.2798 0.5497 0.2361 x1
O 0.2836 0.5530 0.5744 x1
O 0.2851 0.7657 0.7353 x1
O 0.7125 0.7731 0.9546 x1
O 0.7159 0.5350 0.4519 x1
O 0.7189 0.7765 0.2880 x1
O 0.7214 0.5348 0.7869 x1
O 0.7308 0.5452 0.1215 x1
F 0.2322 0.7648 0.4020 x1
F 0.2470 0.5387 0.9112 x1
F 0.2566 0.7764 0.0781 x1
F 0.7448 0.0269 0.4477 x1
F 0.7446 0.2703 0.9387 x1
F 0.7520 0.0295 0.1142 x1
F 0.7617 0.7725 0.6240 x1
F 0.7679 0.2850 0.6159 x1
F 0.7704 0.2785 0.2730 x1
F 0.7780 0.0319 0.7694 x1

---

According to the calculations, the structures order from most to least stable as two, three, one, four.